Record 1
A geometry-optimized YMg14TiO16 structure, computed with PBE.

Computed properties:
The formation energy from the elements comes out at -2.929 eV per atom. As for the crystal system: tetragonal.

```
32
Lattice="8.728 0.000 0.000 0.000 8.728 0.000 0.000 0.000 4.366" Properties=species:S:1:pos:R:3 pbc="T T T"
Y 0.000 0.000 0.000
Mg 0.000 2.295 2.183
Mg 0.000 4.364 0.000
Mg 0.000 6.433 2.183
Mg 2.191 4.364 2.183
Mg 2.250 2.250 0.000
Mg 2.250 6.478 0.000
Mg 2.295 0.000 2.183
Mg 4.364 0.000 0.000
Mg 4.364 2.191 2.183
Mg 4.364 6.538 2.183
Mg 6.433 0.000 2.183
Mg 6.478 2.250 0.000
Mg 6.478 6.478 0.000
Mg 6.538 4.364 2.183
Ti 4.364 4.364 0.000
O 0.000 0.000 2.183
O 0.000 2.256 0.000
O 0.000 4.364 2.183
O 0.000 6.472 0.000
O 2.097 4.364 0.000
O 2.168 2.168 2.183
O 2.168 6.561 2.183
O 2.256 0.000 0.000
O 4.364 0.000 2.183
O 4.364 2.097 0.000
O 4.364 4.364 2.183
O 4.364 6.631 0.000
O 6.472 0.000 0.000
O 6.561 2.168 2.183
O 6.561 6.561 2.183
O 6.631 4.364 0.000
```

---

Record 2
A geometry-optimized YMg14TiO16 structure, computed with PBE.

Computed properties:
The formation energy from the elements comes out at -2.929 eV per atom. As for the crystal system: orthorhombic.

```
32
Lattice="4.357 0.000 0.000 0.000 8.703 0.000 0.000 0.000 8.744" Properties=species:S:1:pos:R:3 pbc="T T T"
Y 0.000 0.000 0.000
Mg 0.000 2.230 2.252
Mg 0.000 2.230 6.492
Mg 0.000 4.351 0.000
Mg 0.000 4.351 4.372
Mg 0.000 6.472 2.252
Mg 0.000 6.472 6.492
Mg 2.179 0.000 2.289
Mg 2.179 0.000 6.455
Mg 2.179 2.200 4.372
Mg 2.179 2.283 0.000
Mg 2.179 4.351 2.206
Mg 2.179 4.351 6.538
Mg 2.179 6.419 0.000
Mg 2.179 6.503 4.372
Ti 0.000 0.000 4.372
O 0.000 0.000 2.211
O 0.000 0.000 6.533
O 0.000 2.274 4.372
O 0.000 2.276 0.000
O 0.000 4.351 2.185
O 0.000 4.351 6.560
O 0.000 6.427 0.000
O 0.000 6.429 4.372
O 2.179 0.000 0.000
O 2.179 0.000 4.372
O 2.179 2.167 2.180
O 2.179 2.167 6.564
O 2.179 4.351 0.000
O 2.179 4.351 4.372
O 2.179 6.535 2.180
O 2.179 6.535 6.564
```

---

Record 3
A geometry-optimized YMg6TiO8 structure, computed with PBE.

Computed properties:
The formation energy from the elements comes out at -2.870 eV per atom. As for the crystal system: tetragonal. Its relative energy among the computed polymorphs is 0.0 meV/atom.

```
16
Lattice="4.412 0.000 0.000 0.000 4.412 0.000 0.000 0.000 8.849" Properties=species:S:1:pos:R:3 pbc="T T T"
Y 0.000 0.000 0.000
Mg 0.000 0.000 4.424
Mg 0.000 2.206 2.322
Mg 0.000 2.206 6.527
Mg 2.206 0.000 2.322
Mg 2.206 0.000 6.527
Mg 2.206 2.206 4.424
Ti 2.206 2.206 0.000
O 0.000 0.000 2.336
O 0.000 0.000 6.513
O 0.000 2.206 0.000
O 0.000 2.206 4.424
O 2.206 0.000 0.000
O 2.206 0.000 4.424
O 2.206 2.206 2.299
O 2.206 2.206 6.550
```

---

Number 1: magnetization 0.073 μB per atom. Number 2: magnetization 0.075 μB per atom. Number 3: magnetization 0.104 μB per atom.